Version a
The following is a PBE with a Hubbard U calculation of a relaxed structure of Sr2MgNiRuO6, from the Materials Project.

POSCAR file:
```
Sr2MgNiRuO6
1.0
-4.7749 -3.9928 -0.0307
-4.7749 -0.0307 -3.9928
0.0000 -4.0235 -4.0235
O Mg Sr Ru Ni
6 1 2 1 1
direct
0.2461 0.7539 0.2434 O
0.7100 0.7100 0.2900 O
0.2461 0.7539 0.7566 O
0.2900 0.2900 0.7100 O
0.7539 0.2461 0.2434 O
0.7539 0.2461 0.7566 O
0.5000 0.5000 0.0000 Mg
0.8229 0.8229 0.6771 Sr
0.1771 0.1771 0.3229 Sr
0.5000 0.5000 0.5000 Ru
0.0000 0.0000 0.0000 Ni
```


Version b
The following is a PBE with a Hubbard U calculation of a relaxed structure of Sr2MgNiRuO6, from the Materials Project.

POSCAR file:
```
Sr2MgNiRuO6
1.0
2.6107 -4.4184 -2.7799
-2.8135 -5.0622 -0.7236
-1.9763 -1.4559 -5.6692
Mg O Ni Ru Sr
1 6 1 1 2
direct
0.0729 0.0729 0.7813 Mg
0.7558 0.2878 0.2007 O
0.2878 0.7558 0.2007 O
0.2820 0.2820 0.6950 O
0.7558 0.7558 0.2007 O
0.7409 0.2820 0.6950 O
0.2820 0.7409 0.6950 O
0.9125 0.9125 0.2625 Ni
0.5139 0.5139 0.4584 Ru
0.3004 0.3004 0.0988 Sr
0.7270 0.7270 0.8191 Sr
```


version b wins, 9.8 kJ/mol of atoms ahead of the next structure.


Version a
The following is a PBE with a Hubbard U calculation of a relaxed structure of Li4FeTeW2O12, from the Materials Project.

POSCAR file:
```
Li4FeTeW2O12
1.0
4.7197 -0.3166 -5.8904
0.8236 7.4911 0.8590
5.5833 -0.7256 5.0728
O Li W Fe Te
24 8 4 2 2
direct
0.2452 0.9447 0.5754 O
0.9416 0.2570 0.9425 O
0.9481 0.7454 0.4262 O
0.4462 0.4242 0.7370 O
0.9399 0.4398 0.2569 O
0.7781 0.0812 0.4163 O
0.5920 0.7205 0.5743 O
0.7578 0.4192 0.5559 O
0.5712 0.0748 0.7582 O
0.9394 0.9384 0.7318 O
0.7428 0.9314 0.0503 O
0.0666 0.5609 0.7459 O
0.4269 0.9219 0.2337 O
0.5592 0.5502 0.2587 O
0.2515 0.0507 0.9359 O
0.4441 0.2537 0.4250 O
0.2403 0.4335 0.0462 O
0.5491 0.2393 0.0591 O
0.2492 0.5697 0.4392 O
0.0793 0.0391 0.2586 O
0.7550 0.5463 0.9437 O
0.4481 0.7564 0.9204 O
0.0585 0.7390 0.0439 O
0.0760 0.2584 0.5630 O
0.2822 0.2185 0.2032 Li
0.2044 0.8016 0.8050 Li
0.7485 0.7414 0.2351 Li
0.1985 0.7924 0.2673 Li
0.7196 0.7831 0.8102 Li
0.6990 0.2959 0.2713 Li
0.7046 0.2981 0.8113 Li
0.2275 0.2772 0.8001 Li
0.9976 0.4968 0.0048 W
0.4949 0.9946 0.0075 W
0.4987 0.5073 0.5044 W
0.9976 0.0121 0.4987 W
0.9922 0.0051 0.0025 Fe
0.4908 0.5082 0.9999 Fe
0.4950 0.0122 0.5180 Te
0.0004 0.5020 0.5050 Te
```


Version b
The following is a PBE with a Hubbard U calculation of a relaxed structure of Li4FeTeW2O12, from the Materials Project.

POSCAR file:
```
Li4FeTeW2O12
1.0
-1.9330 -4.8358 0.0628
5.0033 -2.0005 1.0706
-0.8221 0.4095 7.5326
O Li Te W Fe
12 4 1 2 1
direct
0.3027 0.7906 0.9378 O
0.1731 0.6779 0.5610 O
0.8776 0.9896 0.7355 O
0.6338 0.4930 0.7518 O
0.6781 0.1906 0.0485 O
0.1154 0.9755 0.2588 O
0.6913 0.8125 0.4265 O
0.3701 0.4899 0.2464 O
0.2067 0.3065 0.9325 O
0.3187 0.1661 0.5634 O
0.8318 0.3110 0.4316 O
0.7970 0.6833 0.0513 O
0.5037 0.0562 0.8057 Li
0.0056 0.5815 0.8050 Li
0.9990 0.5891 0.2667 Li
0.4924 0.9986 0.2332 Li
0.5027 0.5061 0.5066 Te
0.0044 0.0079 0.5025 W
0.4965 0.5013 0.0039 W
0.9995 0.0150 0.0025 Fe
```


Version c
The following is a PBE with a Hubbard U calculation of a relaxed structure of Li4FeTeW2O12, from the Materials Project.

POSCAR file:
```
Li4FeTeW2O12
1.0
-0.0103 2.9299 -4.2792
0.5933 6.2089 4.2961
11.0283 -0.0372 0.0008
O W Li Fe Te
24 4 8 2 2
direct
0.3750 0.7453 0.7443 O
0.3469 0.7557 0.2536 O
0.3288 0.0477 0.5964 O
0.2058 0.0476 0.8406 O
0.8886 0.2578 0.9857 O
0.6798 0.5620 0.5950 O
0.8252 0.5732 0.3543 O
0.2069 0.0557 0.3457 O
0.2999 0.4265 0.4079 O
0.6973 0.9439 0.8964 O
0.1424 0.4370 0.1551 O
0.6453 0.2331 0.2544 O
0.7915 0.9220 0.1546 O
0.1262 0.7357 0.9857 O
0.3228 0.0494 0.0968 O
0.8204 0.5568 0.8288 O
0.8027 0.9391 0.6579 O
0.1252 0.7369 0.5049 O
0.6734 0.5750 0.0619 O
0.3060 0.4243 0.8947 O
0.6280 0.2547 0.7486 O
0.8844 0.2603 0.4980 O
0.6980 0.9335 0.4003 O
0.1968 0.4301 0.6565 O
0.9951 0.5036 0.5037 W
0.9823 0.5047 0.0032 W
0.5068 0.0043 0.7493 W
0.5090 0.0063 0.2513 W
0.4984 0.8021 0.5322 Li
0.5047 0.2199 0.9815 Li
0.5043 0.2138 0.4772 Li
0.9902 0.8122 0.2985 Li
0.0003 0.8019 0.7942 Li
0.4940 0.8099 0.0254 Li
0.0072 0.2662 0.2918 Li
0.0094 0.2727 0.7969 Li
0.0026 0.0021 0.5072 Fe
0.0010 0.9999 0.0084 Fe
0.4982 0.5026 0.7499 Te
0.4792 0.5168 0.2537 Te
```


version c wins, 0.7 kJ/mol of atoms ahead of the next structure.


Version a
The following is a PBE with a Hubbard U calculation of a relaxed structure of Li3Fe2P2C2O14, from the Materials Project.

POSCAR file:
```
Li3Fe2P2C2O14
1.0
-7.8845 0.5556 2.1270
0.5364 -7.5802 -3.0594
4.9730 0.0485 7.9534
O P Li C Fe
28 4 6 4 4
direct
0.6117 0.3674 0.9188 O
0.7815 0.5180 0.8249 O
0.3537 0.0988 0.5769 O
0.8866 0.1353 0.0717 O
0.3427 0.1210 0.1009 O
0.2333 0.4583 0.1659 O
0.7258 0.9720 0.1653 O
0.2126 0.6417 0.6837 O
0.6542 0.9105 0.4244 O
0.8551 0.5837 0.5801 O
0.6409 0.8854 0.9012 O
0.2698 0.8323 0.3075 O
0.7246 0.1683 0.6951 O
0.0749 0.8357 0.4742 O
0.8624 0.6102 0.0928 O
0.9241 0.1949 0.5379 O
0.1110 0.8600 0.9252 O
0.5909 0.5284 0.3152 O
0.5565 0.3266 0.4678 O
0.1212 0.4036 0.9015 O
0.1642 0.3877 0.4211 O
0.0960 0.0337 0.3090 O
0.2817 0.0208 0.8368 O
0.9144 0.9837 0.6914 O
0.3803 0.6369 0.0744 O
0.7649 0.3275 0.3086 O
0.4213 0.4790 0.6962 O
0.4208 0.6762 0.5271 O
0.3039 0.5466 0.5761 P
0.2039 0.9530 0.4225 P
0.6978 0.4476 0.4243 P
0.7983 0.0560 0.5784 P
0.4434 0.6878 0.8998 Li
0.0642 0.8099 0.1069 Li
0.2858 0.2530 0.2790 Li
0.0038 0.4647 0.7190 Li
0.5583 0.3092 0.1016 Li
0.9392 0.1899 0.8963 Li
0.7489 0.9951 0.0390 C
0.2419 0.4960 0.0412 C
0.2482 0.0033 0.9602 C
0.7574 0.5034 0.9552 C
0.4427 0.6957 0.3287 Fe
0.9346 0.1886 0.3311 Fe
0.0599 0.8168 0.6687 Fe
0.5628 0.3137 0.6763 Fe
```


Version b
The following is a PBE with a Hubbard U calculation of a relaxed structure of Li3Fe2P2C2O14, from the Materials Project.

POSCAR file:
```
Li3Fe2P2C2O14
1.0
1.2240 -0.2817 -8.2934
-6.5186 5.0524 -0.6192
3.4735 7.4861 -0.2661
O Li C P Fe
28 6 4 4 4
direct
0.4687 0.4015 0.8268 O
0.3158 0.1215 0.9382 O
0.0699 0.3981 0.3457 O
0.5793 0.2038 0.0622 O
0.5716 0.6903 0.5664 O
0.1812 0.1194 0.6464 O
0.4270 0.8062 0.9359 O
0.9270 0.1025 0.1548 O
0.5281 0.5846 0.1504 O
0.6778 0.1971 0.3672 O
0.0881 0.9377 0.3218 O
0.1588 0.6147 0.1453 O
0.6881 0.8709 0.0662 O
0.6934 0.3604 0.5770 O
0.4688 0.9044 0.3409 O
0.4222 0.3281 0.4540 O
0.8953 0.5428 0.1786 O
0.9329 0.5853 0.6502 O
0.5243 0.0864 0.6526 O
0.8243 0.8974 0.3605 O
0.3055 0.6224 0.4469 O
0.0775 0.9048 0.8431 O
0.6958 0.6825 0.8788 O
0.3084 0.3202 0.1135 O
0.9177 0.0722 0.6780 O
0.3059 0.8207 0.6202 O
0.8375 0.3976 0.8745 O
0.1009 0.4125 0.7983 O
0.1079 0.2367 0.0113 Li
0.8903 0.2644 0.4901 Li
0.1037 0.7407 0.5130 Li
0.9011 0.7552 0.9919 Li
0.7199 0.3967 0.1351 Li
0.2880 0.4006 0.6463 Li
0.9632 0.4650 0.7749 C
0.0358 0.5188 0.2232 C
0.9533 0.9804 0.2782 C
0.0519 0.0306 0.7240 C
0.5741 0.2425 0.5123 P
0.5808 0.7399 0.0057 P
0.4220 0.2605 0.9862 P
0.4191 0.7594 0.4945 P
0.6594 0.0202 0.2238 Fe
0.6770 0.5279 0.7203 Fe
0.3358 0.9690 0.7788 Fe
0.3250 0.4775 0.2681 Fe
```


version b wins, 1.9 kJ/mol of atoms ahead of the next structure.


Version a
The following is a PBE with a Hubbard U calculation of a relaxed structure of Fe4O5F3, from the Materials Project.

POSCAR file:
```
Fe4O5F3
1.0
-0.4893 4.6491 0.5335
-0.2152 -0.8369 5.5429
10.2259 1.0448 -0.5815
Fe O F
8 10 6
direct
0.4726 0.2518 0.7596 Fe
0.0557 0.7383 0.7438 Fe
0.0000 0.5000 0.0000 Fe
0.5000 0.0000 0.0000 Fe
0.5274 0.7482 0.2404 Fe
0.0000 0.0000 0.5000 Fe
0.9443 0.2617 0.2562 Fe
0.5000 0.5000 0.5000 Fe
0.6939 0.7635 0.4187 O
0.3126 0.9764 0.8322 O
0.6874 0.0236 0.1678 O
0.6962 0.2733 0.9283 O
0.3038 0.7267 0.0717 O
0.1881 0.4770 0.8337 O
0.7973 0.2710 0.4297 O
0.3061 0.2365 0.5813 O
0.8119 0.5230 0.1663 O
0.2027 0.7290 0.5703 O
0.1918 0.2249 0.0820 F
0.8084 0.0142 0.6780 F
0.7028 0.5278 0.6819 F
0.1916 0.9858 0.3220 F
0.8082 0.7751 0.9180 F
0.2972 0.4722 0.3181 F
```


Version b
The following is a PBE with a Hubbard U calculation of a relaxed structure of Fe4O5F3, from the Materials Project.

POSCAR file:
```
Fe4O5F3
1.0
-5.0298 -2.2534 1.0786
-0.6638 -1.6366 5.3311
-3.5172 8.3824 2.3953
O F Fe
10 6 8
direct
0.3567 0.8581 0.3527 O
0.1419 0.6433 0.6473 O
0.6576 0.6576 0.1009 O
0.1618 0.1618 0.0934 O
0.8382 0.8382 0.9066 O
0.3473 0.3473 0.4064 O
0.6527 0.6527 0.5936 O
0.3424 0.3424 0.8991 O
0.8581 0.3567 0.3527 O
0.6433 0.1419 0.6473 O
0.8383 0.3348 0.8432 F
0.8571 0.8571 0.3943 F
0.1429 0.1429 0.6057 F
0.6652 0.1617 0.1568 F
0.3348 0.8383 0.8432 F
0.1617 0.6652 0.1568 F
0.5000 0.0000 0.0000 Fe
0.0000 0.5000 0.0000 Fe
0.0329 0.0329 0.2551 Fe
0.0000 0.5000 0.5000 Fe
0.5000 0.0000 0.5000 Fe
0.5145 0.5145 0.2693 Fe
0.4855 0.4855 0.7307 Fe
0.9671 0.9671 0.7449 Fe
```


Version c
The following is a PBE with a Hubbard U calculation of a relaxed structure of Fe4O5F3, from the Materials Project.

POSCAR file:
```
Fe4O5F3
1.0
4.7405 0.0000 0.0000
0.0217 6.0718 0.0000
0.3792 0.0327 9.4548
Fe O F
8 10 6
direct
0.9750 0.0016 0.4834 Fe
0.4943 0.2502 0.2462 Fe
0.9412 0.4982 0.4980 Fe
0.5445 0.7496 0.7677 Fe
0.4905 0.2494 0.7452 Fe
0.0071 0.4977 0.0071 Fe
0.5179 0.7511 0.2621 Fe
0.0392 0.0017 0.9914 Fe
0.6988 0.5019 0.1547 O
0.7884 0.7491 0.4043 O
0.3171 0.4969 0.8515 O
0.6744 0.4960 0.6574 O
0.7826 0.2526 0.3998 O
0.2001 0.2494 0.0927 O
0.3021 0.0018 0.3423 O
0.3258 0.0009 0.8439 O
0.6883 0.0049 0.6526 O
0.8419 0.7500 0.9114 O
0.1770 0.2544 0.5952 F
0.7136 0.9982 0.1465 F
0.2164 0.7523 0.1056 F
0.2823 0.5005 0.3495 F
0.1686 0.7448 0.5904 F
0.8126 0.2470 0.9012 F
```


version a wins, 3.4 kJ/mol of atoms ahead of the next structure.